(A)
This record from the Materials Project database describes a geometry-optimized C structure. The functional is GGA-PBE.

Cell lengths 5.801, 5.801, 5.801 Å; angles 108.68, 108.68, 111.06 degrees
Atoms (fractional coordinates):
C 0.030 0.030 0.418
C 0.030 0.612 0.000
C 0.121 0.121 0.243
C 0.121 0.879 0.000
C 0.388 0.388 0.418
C 0.388 0.970 0.000
C 0.612 0.030 0.000
C 0.612 0.612 0.582
C 0.879 0.121 0.000
C 0.879 0.879 0.757
C 0.970 0.388 0.000
C 0.970 0.970 0.582

Computed properties:
symmetry = I4/mmm, No. 139
crystal system = tetragonal

(B)
This record from the Materials Project database describes a geometry-optimized C structure. The functional is GGA-PBE.

Cell lengths 10.471, 10.471, 10.471 Å; angles 13.83, 13.83, 13.83 degrees
Atoms (fractional coordinates):
C 0.025 0.025 0.025
C 0.109 0.109 0.109
C 0.158 0.158 0.158
C 0.375 0.375 0.375
C 0.425 0.425 0.425
C 0.575 0.575 0.575
C 0.625 0.625 0.625
C 0.842 0.842 0.842
C 0.891 0.891 0.891
C 0.975 0.975 0.975

Computed properties:
symmetry = R-3m, No. 166
crystal system = trigonal

(C)
This record from the Materials Project database describes a geometry-optimized C structure. The functional is GGA-PBE.

Cell lengths 5.217, 5.217, 5.217 Å; angles 90.00, 90.00, 90.00 degrees
Atoms (fractional coordinates):
C 0.000 0.348 0.348
C 0.000 0.348 0.652
C 0.000 0.652 0.348
C 0.000 0.652 0.652
C 0.238 0.238 0.238
C 0.238 0.238 0.762
C 0.238 0.762 0.238
C 0.238 0.762 0.762
C 0.348 0.000 0.348
C 0.348 0.000 0.652
C 0.348 0.348 0.000
C 0.348 0.652 0.000
C 0.652 0.000 0.348
C 0.652 0.000 0.652
C 0.652 0.348 0.000
C 0.652 0.652 0.000
C 0.762 0.238 0.238
C 0.762 0.238 0.762
C 0.762 0.762 0.238
C 0.762 0.762 0.762

Computed properties:
symmetry = Pm-3m, No. 221
crystal system = cubic

Result of the stability comparison: (A) is the least stable of them.

(A)
This record from the Materials Project database describes a geometry-optimized C structure. The functional is GGA-PBE.

Cell lengths 2.523, 2.523, 16.560 Å; angles 90.00, 90.00, 120.00 degrees
Atoms (fractional coordinates):
C 0.000 0.000 0.047
C 0.000 0.000 0.453
C 0.000 0.000 0.547
C 0.000 0.000 0.953
C 0.333 0.667 0.078
C 0.333 0.667 0.171
C 0.333 0.667 0.329
C 0.333 0.667 0.422
C 0.333 0.667 0.703
C 0.333 0.667 0.797
C 0.667 0.333 0.203
C 0.667 0.333 0.297
C 0.667 0.333 0.578
C 0.667 0.333 0.671
C 0.667 0.333 0.829
C 0.667 0.333 0.922

Computed properties:
symmetry = P6_3/mmc, No. 194
crystal system = hexagonal

(B)
This record from the Materials Project database describes a geometry-optimized C structure. The functional is GGA-PBE.

Cell lengths 9.072, 2.526, 4.160 Å; angles 90.00, 90.00, 90.00 degrees
Atoms (fractional coordinates):
C 0.021 0.250 0.092
C 0.037 0.750 0.568
C 0.189 0.250 0.198
C 0.195 0.750 0.424
C 0.305 0.250 0.924
C 0.311 0.750 0.698
C 0.463 0.250 0.068
C 0.479 0.750 0.592
C 0.521 0.250 0.408
C 0.537 0.750 0.932
C 0.689 0.250 0.302
C 0.695 0.750 0.076
C 0.805 0.250 0.576
C 0.811 0.750 0.802
C 0.963 0.250 0.432
C 0.979 0.750 0.908

Computed properties:
symmetry = Pnma, No. 62
crystal system = orthorhombic

Result of the stability comparison: (B) is the least stable of them.

(A)
This record from the Materials Project database describes a geometry-optimized C structure. The functional is GGA-PBE.

Cell lengths 2.520, 2.520, 8.307 Å; angles 90.00, 90.00, 120.00 degrees
Atoms (fractional coordinates):
C 0.000 0.000 0.093
C 0.000 0.000 0.407
C 0.000 0.000 0.593
C 0.000 0.000 0.907
C 0.333 0.667 0.156
C 0.333 0.667 0.344
C 0.667 0.333 0.656
C 0.667 0.333 0.844

Computed properties:
symmetry = P6_3/mmc, No. 194
crystal system = hexagonal

(B)
This record from the Materials Project database describes a geometry-optimized C structure. The functional is GGA-PBE.

Cell lengths 3.706, 3.706, 4.273 Å; angles 90.00, 90.00, 97.75 degrees
Atoms (fractional coordinates):
C 0.000 0.500 0.343
C 0.000 0.500 0.657
C 0.149 0.851 0.181
C 0.149 0.851 0.819
C 0.500 0.000 0.343
C 0.500 0.000 0.657
C 0.851 0.149 0.181
C 0.851 0.149 0.819

Computed properties:
symmetry = Cmmm, No. 65
crystal system = orthorhombic

(C)
This record from the Materials Project database describes a geometry-optimized C structure. The functional is GGA-PBE.

Cell lengths 4.763, 4.763, 4.151 Å; angles 96.78, 96.78, 30.75 degrees
Atoms (fractional coordinates):
C 0.057 0.057 0.379
C 0.214 0.214 0.559
C 0.271 0.271 0.914
C 0.442 0.442 0.846
C 0.558 0.558 0.154
C 0.729 0.729 0.086
C 0.786 0.786 0.441
C 0.943 0.943 0.621

Computed properties:
symmetry = C2/m, No. 12
crystal system = monoclinic

(D)
This record from the Materials Project database describes a geometry-optimized C structure. The functional is GGA-PBE.

Cell lengths 11.940, 11.940, 11.940 Å; angles 11.87, 11.87, 11.87 degrees
Atoms (fractional coordinates):
C 0.051 0.051 0.051
C 0.283 0.283 0.283
C 0.717 0.717 0.717
C 0.949 0.949 0.949

Computed properties:
symmetry = R-3m, No. 166
crystal system = trigonal

Result of the stability comparison: (B) is the least stable of them.

(A)
This record from the Materials Project database describes a geometry-optimized C structure. The functional is GGA-PBE.

Cell lengths 14.553, 14.553, 14.553 Å; angles 9.96, 9.96, 9.96 degrees
Atoms (fractional coordinates):
C 0.018 0.018 0.018
C 0.173 0.173 0.173
C 0.208 0.208 0.208
C 0.268 0.268 0.268
C 0.304 0.304 0.304
C 0.410 0.410 0.410
C 0.447 0.447 0.447
C 0.553 0.553 0.553
C 0.590 0.590 0.590
C 0.696 0.696 0.696
C 0.732 0.732 0.732
C 0.792 0.792 0.792
C 0.827 0.827 0.827
C 0.982 0.982 0.982

Computed properties:
symmetry = R-3m, No. 166
crystal system = trigonal

(B)
This record from the Materials Project database describes a geometry-optimized C structure. The functional is GGA-PBE.

Cell lengths 9.916, 9.916, 9.916 Å; angles 60.00, 60.00, 60.00 degrees
Atoms (fractional coordinates):
C 0.031 0.073 0.298
C 0.031 0.298 0.599
C 0.031 0.402 0.766
C 0.031 0.599 0.073
C 0.031 0.766 0.801
C 0.031 0.801 0.402
C 0.073 0.031 0.599
C 0.073 0.298 0.031
C 0.073 0.599 0.298
C 0.199 0.234 0.598
C 0.199 0.299 0.701
C 0.199 0.598 0.969
C 0.199 0.701 0.801
C 0.199 0.801 0.299
C 0.199 0.969 0.234
C 0.234 0.199 0.969
C 0.234 0.598 0.199
C 0.234 0.969 0.598
C 0.298 0.031 0.073
C 0.298 0.073 0.599
C 0.298 0.599 0.031
C 0.299 0.199 0.801
C 0.299 0.701 0.199
C 0.299 0.801 0.701
C 0.401 0.702 0.927
C 0.401 0.927 0.969
C 0.401 0.969 0.702
C 0.402 0.031 0.801
C 0.402 0.766 0.031
C 0.402 0.801 0.766
C 0.598 0.199 0.234
C 0.598 0.234 0.969
C 0.598 0.969 0.199
C 0.599 0.031 0.298
C 0.599 0.073 0.031
C 0.599 0.298 0.073
C 0.701 0.199 0.299
C 0.701 0.299 0.801
C 0.701 0.801 0.199
C 0.702 0.401 0.969
C 0.702 0.927 0.401
C 0.702 0.969 0.927
C 0.766 0.031 0.402
C 0.766 0.402 0.801
C 0.766 0.801 0.031
C 0.801 0.031 0.766
C 0.801 0.199 0.701
C 0.801 0.299 0.199
C 0.801 0.402 0.031
C 0.801 0.701 0.299
C 0.801 0.766 0.402
C 0.927 0.401 0.702
C 0.927 0.702 0.969
C 0.927 0.969 0.401
C 0.969 0.199 0.598
C 0.969 0.234 0.199
C 0.969 0.401 0.927
C 0.969 0.598 0.234
C 0.969 0.702 0.401
C 0.969 0.927 0.702

Computed properties:
symmetry = Fm-3, No. 202
crystal system = cubic

Result of the stability comparison: (B) is the least stable of them.